PBE-GGA TiCdO3, optimized geometry; E_tot = -6.960 eV per atom; calculated volume = 11.472 Å³/atom; magnetization = 0.000 μB per cell
1.0
5.401 0.000 0.000
0.000 5.523 0.000
0.000 0.000 7.692
Ti Cd O
4 4 12
Direct
0.757 0.668 0.251 Ti
0.243 0.168 0.749 Ti
0.243 0.168 0.251 Ti
0.757 0.668 0.749 Ti
0.261 0.695 0.500 Cd
0.739 0.195 0.500 Cd
0.750 0.117 0.000 Cd
0.250 0.617 0.000 Cd
0.050 0.841 0.795 O
0.950 0.341 0.205 O
0.950 0.341 0.795 O
0.050 0.841 0.205 O
0.445 0.439 0.702 O
0.555 0.939 0.298 O
0.555 0.939 0.702 O
0.445 0.439 0.298 O
0.162 0.111 0.500 O
0.838 0.611 0.500 O
0.337 0.169 0.000 O
0.663 0.669 0.000 O



PBE-GGA TiCdO3, optimized geometry; E_tot = -6.779 eV per atom; calculated volume = 12.817 Å³/atom; magnetization = 0.002 μB per cell
1.0
3.852 0.000 0.000
0.000 7.068 0.000
0.000 0.000 9.415
Ti Cd O
4 4 12
Direct
0.965 0.751 0.290 Ti
0.035 0.251 0.710 Ti
0.035 0.251 0.290 Ti
0.965 0.751 0.710 Ti
0.682 0.038 0.000 Cd
0.493 0.990 0.500 Cd
0.318 0.538 0.000 Cd
0.507 0.490 0.500 Cd
0.778 0.725 0.000 O
0.993 0.989 0.225 O
0.489 0.719 0.674 O
0.511 0.219 0.674 O
0.489 0.719 0.326 O
0.008 0.318 0.500 O
0.007 0.489 0.225 O
0.222 0.225 0.000 O
0.993 0.989 0.775 O
0.007 0.489 0.775 O
0.511 0.219 0.326 O
0.992 0.818 0.500 O



PBE-GGA TiCdO3, optimized geometry; E_tot = -6.801 eV per atom; calculated volume = 11.745 Å³/atom; magnetization = 0.000 μB per cell
1.0
-0.486 -0.466 3.828
-2.354 -3.021 -0.666
3.055 -2.401 0.096
Ti Cd O
1 1 3
Direct
0.500 0.500 0.500 Ti
0.000 0.000 0.000 Cd
0.500 0.500 0.000 O
0.500 0.000 0.500 O
0.000 0.500 0.500 O